DFT (PBE-GGA) results for a relaxed structure of Ni3Mo3N.

## Properties
E = -8.50 eV/atom
Density = 9.45 g/cm3

abc: 11.0358 11.0358 11.0358
angles: 90.00 90.00 90.00
Space group Fd-3m (No. 227, origin choice 2)
One atom of each set of equivalent atoms:
1 Ni 0.0000 0.0000 0.0000 (multiplicity 16)
2 Ni 0.0400 0.0400 0.2100 (multiplicity 32)
3 Mo 0.0799 0.3750 0.8750 (multiplicity 48)
4 N 0.0000 0.0000 0.5000 (multiplicity 16)

***

DFT (PBE-GGA) results for a relaxed structure of MgSn5.

## Properties
E = -3.58 eV/atom
Density = 6.34 g/cm3

abc: 12.6067 3.4114 7.8458
angles: 90.00 106.31 90.00
Space group Cm (No. 8)
One atom of each set of equivalent atoms:
1 Mg 0.0000 0.0000 0.0000 (multiplicity 2)
2 Sn 0.1078 0.5000 0.7279 (multiplicity 2)
3 Sn 0.1618 0.5000 0.3262 (multiplicity 2)
4 Sn 0.2808 0.0000 0.0549 (multiplicity 2)
5 Sn 0.3371 0.0000 0.6711 (multiplicity 2)
6 Sn 0.4452 0.5000 0.3874 (multiplicity 2)

***

DFT (PBE-GGA) results for a relaxed structure of H6PbCNF3.

## Properties
E = -4.96 eV/atom
Density = 3.65 g/cm3

abc: 7.0650 7.0929 10.7836
angles: 88.08 86.87 89.64
Space group P1 (No. 1)
One atom of each set of equivalent atoms:
1 H 0.0000 0.0000 0.0000 (multiplicity 1)
2 H 0.0011 0.0338 0.7026 (multiplicity 1)
3 H 0.0032 0.8801 0.5037 (multiplicity 1)
4 H 0.0222 0.8531 0.2098 (multiplicity 1)
5 H 0.0891 0.0969 0.2006 (multiplicity 1)
6 H 0.1132 0.8070 0.7103 (multiplicity 1)
7 H 0.1435 0.0708 0.4902 (multiplicity 1)
8 H 0.1617 0.8236 0.9994 (multiplicity 1)
9 H 0.2301 0.0483 0.9913 (multiplicity 1)
10 H 0.2363 0.8548 0.4975 (multiplicity 1)
11 H 0.2549 0.0164 0.6961 (multiplicity 1)
12 H 0.2681 0.9171 0.1995 (multiplicity 1)
13 H 0.5001 0.5071 0.5007 (multiplicity 1)
14 H 0.5118 0.5053 0.9954 (multiplicity 1)
15 H 0.5224 0.3545 0.7093 (multiplicity 1)
16 H 0.5247 0.3483 0.2035 (multiplicity 1)
17 H 0.5806 0.5949 0.2015 (multiplicity 1)
18 H 0.5951 0.5970 0.7010 (multiplicity 1)
19 H 0.6579 0.3276 0.4974 (multiplicity 1)
20 H 0.6804 0.3349 0.9961 (multiplicity 1)
21 H 0.7303 0.5512 0.4916 (multiplicity 1)
22 H 0.7402 0.5617 0.9944 (multiplicity 1)
23 H 0.7669 0.4222 0.2023 (multiplicity 1)
24 H 0.7696 0.4126 0.6972 (multiplicity 1)
25 Pb 0.1229 0.4388 0.8702 (multiplicity 1)
26 Pb 0.1273 0.4490 0.3685 (multiplicity 1)
27 Pb 0.6199 0.9411 0.8707 (multiplicity 1)
28 Pb 0.6263 0.9626 0.3685 (multiplicity 1)
29 C 0.1239 0.9505 0.6706 (multiplicity 1)
30 C 0.1266 0.9553 0.1708 (multiplicity 1)
31 C 0.6264 0.4562 0.1697 (multiplicity 1)
32 C 0.6284 0.4550 0.6701 (multiplicity 1)
33 N 0.1256 0.9396 0.5335 (multiplicity 1)
34 N 0.1282 0.9550 0.0332 (multiplicity 1)
35 N 0.6274 0.4582 0.5326 (multiplicity 1)
36 N 0.6387 0.4632 0.0321 (multiplicity 1)
37 F 0.1223 0.4523 0.1628 (multiplicity 1)
38 F 0.1301 0.4552 0.6638 (multiplicity 1)
39 F 0.3537 0.6740 0.9033 (multiplicity 1)
40 F 0.3719 0.1857 0.8965 (multiplicity 1)
41 F 0.3717 0.2025 0.3914 (multiplicity 1)
42 F 0.3802 0.7074 0.4096 (multiplicity 1)
43 F 0.6250 0.9498 0.1628 (multiplicity 1)
44 F 0.6307 0.9557 0.6640 (multiplicity 1)
45 F 0.8555 0.1727 0.9032 (multiplicity 1)
46 F 0.8740 0.6876 0.9026 (multiplicity 1)
47 F 0.8752 0.7057 0.4095 (multiplicity 1)
48 F 0.8781 0.2101 0.3933 (multiplicity 1)

***

DFT (PBE-GGA) results for a relaxed structure of CaY4Bi4O12.

## Properties
E = -7.05 eV/atom
Density = 6.79 g/cm3

abc: 6.3433 8.1189 6.7681
angles: 90.00 92.20 90.00
Space group Pm (No. 6)
One atom of each set of equivalent atoms:
1 Ca 0.0000 0.0000 0.0000 (multiplicity 1)
2 Y 0.0335 0.0000 0.4309 (multiplicity 1)
3 Y 0.0758 0.5000 0.2802 (multiplicity 1)
4 Y 0.5274 0.0000 0.7636 (multiplicity 1)
5 Y 0.5872 0.5000 0.8524 (multiplicity 1)
6 Bi 0.1136 0.3185 0.7709 (multiplicity 2)
7 Bi 0.5424 0.2403 0.2796 (multiplicity 2)
8 O 0.1805 0.0000 0.7153 (multiplicity 1)
9 O 0.2137 0.1694 0.2150 (multiplicity 2)
10 O 0.3903 0.5000 0.1136 (multiplicity 1)
11 O 0.4451 0.2877 0.6732 (multiplicity 2)
12 O 0.6653 0.0000 0.4526 (multiplicity 1)
13 O 0.6848 0.1678 0.0040 (multiplicity 2)
14 O 0.8913 0.5000 0.0142 (multiplicity 1)
15 O 0.9488 0.2975 0.4822 (multiplicity 2)

***

DFT (PBE-GGA) results for a relaxed structure of Ag2SnBiS4.

## Properties
E = -3.97 eV/atom
Density = 6.34 g/cm3

abc: 5.5727 5.5727 11.3221
angles: 90.00 90.00 90.00
Space group I-4m2 (No. 119)
One atom of each set of equivalent atoms:
1 Ag 0.0000 0.0000 0.0000 (multiplicity 2)
2 Ag 0.0000 0.5000 0.2500 (multiplicity 2)
3 Sn 0.0000 0.0000 0.5000 (multiplicity 2)
4 Bi 0.0000 0.5000 0.7500 (multiplicity 2)
5 S 0.0000 0.0000 0.2535 (multiplicity 4)
6 S 0.0000 0.5000 0.0011 (multiplicity 4)

***

DFT (PBE-GGA) results for a relaxed structure of Li2NbS3.

## Properties
E = -5.51 eV/atom
Density = 3.33 g/cm3

abc: 6.1305 10.8023 6.4625
angles: 90.00 108.87 90.00
Space group C2/m (No. 12)
One atom of each set of equivalent atoms:
1 Li 0.0000 0.0000 0.0000 (multiplicity 2)
2 Li 0.0000 0.1620 0.5000 (multiplicity 4)
3 Li 0.0000 0.5000 0.5000 (multiplicity 2)
4 Nb 0.0000 0.3225 0.0000 (multiplicity 4)
5 S 0.2347 0.5000 0.2305 (multiplicity 4)
6 S 0.2487 0.3295 0.7546 (multiplicity 8)

***

DFT (PBE-GGA) results for a relaxed structure of Nd3GdZr4O14.

## Properties
E = -9.06 eV/atom
Density = 6.52 g/cm3

abc: 7.5025 7.5025 18.4806
angles: 90.00 90.00 120.00
Space group R-3m (No. 166, hexagonal axes)
One atom of each set of equivalent atoms:
1 Nd 0.0000 0.5000 0.0000 (multiplicity 9)
2 Gd 0.0000 0.0000 0.5000 (multiplicity 3)
3 Zr 0.0000 0.0000 0.0000 (multiplicity 3)
4 Zr 0.0000 0.5000 0.5000 (multiplicity 9)
5 O 0.0000 0.0000 0.1261 (multiplicity 6)
6 O 0.0023 0.5012 0.8731 (multiplicity 18)
7 O 0.0086 0.5043 0.6223 (multiplicity 18)

***

DFT (PBE-GGA) results for a relaxed structure of Ga2W3Se6.

## Properties
E = -6.34 eV/atom
Density = 7.11 g/cm3

abc: 3.2995 3.2995 57.7121
angles: 90.00 90.00 120.00
Space group P3m1 (No. 156)
One atom of each set of equivalent atoms:
1 Ga 0.0000 0.0000 0.0000 (multiplicity 1)
2 Ga 0.0000 0.0000 0.3191 (multiplicity 1)
3 Ga 0.0000 0.0000 0.6525 (multiplicity 1)
4 Ga 0.6667 0.3333 0.9634 (multiplicity 1)
5 W 0.0000 0.0000 0.0774 (multiplicity 1)
6 W 0.0000 0.0000 0.4047 (multiplicity 1)
7 W 0.0000 0.0000 0.7380 (multiplicity 1)
8 W 0.6667 0.3333 0.2304 (multiplicity 1)
9 W 0.6667 0.3333 0.5637 (multiplicity 1)
10 W 0.6667 0.3333 0.8861 (multiplicity 1)
11 Se 0.0000 0.0000 0.2010 (multiplicity 1)
12 Se 0.0000 0.0000 0.2599 (multiplicity 1)
13 Se 0.0000 0.0000 0.5343 (multiplicity 1)
14 Se 0.0000 0.0000 0.5931 (multiplicity 1)
15 Se 0.0000 0.0000 0.8568 (multiplicity 1)
16 Se 0.0000 0.0000 0.9155 (multiplicity 1)
17 Se 0.6667 0.3333 0.0479 (multiplicity 1)
18 Se 0.6667 0.3333 0.1067 (multiplicity 1)
19 Se 0.6667 0.3333 0.3753 (multiplicity 1)
20 Se 0.6667 0.3333 0.4341 (multiplicity 1)
21 Se 0.6667 0.3333 0.7087 (multiplicity 1)
22 Se 0.6667 0.3333 0.7674 (multiplicity 1)